Here is Mg2Ga after structural relaxation from the Materials Project database. Energies are from PBE.

The structure in POSCAR format:
```
Mg2Ga
1.0
-2.727 -0.754 1.269
2.336 -2.040 0.017
4.671 5.456 13.279
Mg Ga
4 2
Cartesian
1.065 -1.125 1.619
3.214 3.786 12.946
2.567 0.629 5.889
1.712 2.032 8.676
0.128 0.181 4.172
4.151 2.480 10.394
```

E_tot   -2.13 eV/atom
Space-group type   No. 194
Energy of formation from the pure elements   -0.053 eV/atom
Calculated density   3125 kg/m3